Density functional theory data (GGA-PBE) for an optimized crystal structure of Na14Sc4Ta4Si11SO48.

a b c (Å): 18.310 9.139 22.386
angles (deg): 89.92 89.99 120.01
Element x y z (fractional)
O  0.485  0.809  0.086
O  0.412  0.309  0.244
Si  0.000  0.296  0.250
O  0.248  0.862  0.083
Sc  0.834  0.331  0.479
Si  0.648  0.297  0.751
Na  0.508  0.685  0.583
O  0.507  0.188  0.912
Na  0.841  0.335  0.832
O  0.680  0.861  0.860
O  0.237  0.312  0.023
O  0.082  0.489  0.257
O  0.482  0.177  0.308
Si  0.002  0.703  0.750
O  0.416  0.516  0.746
O  0.227  0.155  0.520
O  0.587  0.691  0.755
O  0.161  0.849  0.254
O  0.817  0.488  0.919
O  0.722  0.155  0.523
O  0.919  0.035  0.084
Si  0.500  0.296  0.250
Si  0.981  0.333  0.581
Si  0.810  0.956  0.415
O  0.591  0.013  0.594
Ta  0.165  0.654  0.313
O  0.394  0.824  0.192
Sc  0.500  0.001  0.852
O  0.587  0.989  0.913
O  0.406  0.783  0.311
Si  0.350  0.998  0.753
O  0.073  0.507  0.863
Ta  0.666  0.668  0.814
Sc  0.333  0.325  0.681
O  0.495  0.166  0.592
O  0.519  0.843  0.415
Si  0.333  0.626  0.584
O  0.317  0.488  0.920
O  0.907  0.826  0.912
Ta  0.833  0.334  0.978
Na  0.644  0.953  0.080
Si  0.022  0.668  0.416
O  0.098  0.157  0.086
Na  0.332  0.983  0.583
Si  0.188  0.330  0.083
O  0.514  0.216  0.189
O  0.423  0.290  0.524
Na  0.002  0.001  0.500
O  0.155  0.469  0.478
Sc  0.994  0.992  0.851
O  0.981  0.177  0.308
Na  0.485  0.682  0.914
O  0.106  0.200  0.805
Na  0.355  0.027  0.914
O  0.598  0.157  0.086
Na  0.987  0.680  0.914
Na  0.854  0.029  0.914
Na  0.025  0.336  0.083
Na  0.668  0.047  0.419
Si  0.667  0.960  0.920
Na  0.492  0.360  0.748
O  0.611  0.182  0.810
Na  0.168  0.047  0.421
O  0.906  0.784  0.311
O  0.919  0.529  0.023
Si  0.480  0.627  0.082
Sc  0.335  0.334  0.481
O  0.318  0.141  0.417
Ta  0.838  0.346  0.187
Na  0.977  0.288  0.416
O  0.818  0.501  0.640
O  0.576  0.652  0.361
O  0.746  0.640  0.579
Na  0.842  0.975  0.586
O  0.175  0.848  0.575
Na  0.475  0.287  0.416
O  0.835  0.163  0.743
Na  0.667  0.667  0.667
O  0.581  0.191  0.414
Si  0.498  0.702  0.752
Ta  0.334  0.336  0.978
O  0.737  0.312  0.023
Na  0.499  0.998  0.494
O  0.750  0.638  0.859
O  0.657  0.473  0.476
O  0.996  0.176  0.592
O  0.585  0.198  0.693
O  0.771  0.697  0.977
Si  0.667  0.373  0.417
Si  0.980  0.627  0.082
O  0.251  0.348  0.139
O  0.250  0.654  0.576
Si  0.833  0.045  0.085
O  0.089  0.994  0.908
O  0.356  0.552  0.526
O  0.823  0.143  0.143
Sc  0.993  0.995  0.353
O  0.736  0.151  0.246
O  0.259  0.816  0.755
Si  0.167  0.373  0.418
Ta  0.498  0.998  0.649
O  0.432  0.498  0.418
O  0.570  0.635  0.083
O  0.752  0.857  0.357
O  0.914  0.513  0.742
S  0.649  0.000  0.250
Na  0.663  0.649  0.163
O  0.099  0.980  0.195
Na  0.332  0.322  0.828
O  0.323  0.143  0.143
O  0.748  0.861  0.084
Si  0.833  0.625  0.581
Na  0.150  0.322  0.584
O  0.676  0.497  0.360
Na  0.826  0.651  0.749
Na  0.326  0.000  0.250
O  0.902  0.966  0.416
O  0.843  0.166  0.025
O  0.184  0.863  0.862
Si  0.167  0.963  0.920
O  0.914  0.814  0.588
O  0.250  0.634  0.859
O  0.257  0.691  0.256
Si  0.481  0.332  0.583
O  0.402  0.966  0.415
O  0.652  0.846  0.978
O  0.402  0.974  0.694
O  0.417  0.821  0.593
Sc  0.996  0.005  0.146
O  0.252  0.858  0.356
Ta  0.338  0.346  0.187
O  0.678  0.851  0.580
O  0.757  0.691  0.256
S  0.148  0.299  0.751
O  0.419  0.529  0.023
O  0.912  0.309  0.244
O  0.580  0.686  0.478
O  0.018  0.842  0.414
O  0.985  0.809  0.086
Si  0.852  0.704  0.250
O  0.893  0.823  0.192
O  0.343  0.167  0.025
O  0.891  0.962  0.692
S  0.149  0.000  0.250
Na  0.001  0.002  0.001
Na  0.356  0.663  0.416
O  0.183  0.502  0.083
O  0.099  0.219  0.696
O  0.836  0.510  0.243
Na  0.162  0.678  0.669
O  0.252  0.124  0.635
Na  0.144  0.953  0.080
Na  0.160  0.297  0.918
O  0.407  0.826  0.912
Si  0.852  0.002  0.750
O  0.444  0.375  0.642
O  0.082  0.190  0.414
Na  0.832  0.713  0.084
Na  0.680  0.005  0.752
O  0.419  0.035  0.084
O  0.342  0.165  0.745
O  0.931  0.497  0.417
O  0.581  0.490  0.257
Ta  0.667  0.666  0.520
O  0.428  0.502  0.140
O  0.751  0.348  0.139
O  0.761  0.837  0.475
Si  0.688  0.330  0.083
Si  0.812  0.665  0.918
O  0.742  0.322  0.740
Si  0.687  0.040  0.583
O  0.408  0.026  0.811
O  0.085  0.677  0.758
Si  0.523  0.669  0.417
Sc  0.167  0.666  0.021
O  0.177  0.498  0.361
O  0.513  0.829  0.694
O  0.757  0.145  0.920
O  0.270  0.696  0.976
O  0.904  0.027  0.811
Na  0.338  0.350  0.337
O  0.157  0.473  0.755
Si  0.186  0.041  0.580
Na  0.163  0.650  0.163
O  0.428  0.367  0.920
Na  0.332  0.713  0.083
Si  0.312  0.666  0.918
Na  0.525  0.336  0.083
O  0.092  0.017  0.588
Si  0.021  0.375  0.919
O  0.336  0.510  0.243
O  0.257  0.146  0.921
Sc  0.495  0.005  0.146
Na  0.659  0.290  0.915
O  0.599  0.980  0.195
O  0.752  0.364  0.417
O  0.008  0.187  0.910
Na  0.500  0.000  0.000
Sc  0.667  0.667  0.022
O  0.923  0.295  0.522
Na  0.654  0.329  0.581
O  0.661  0.849  0.254
O  0.070  0.635  0.083
O  0.983  0.782  0.808
O  0.236  0.151  0.246
O  0.568  0.499  0.859
Na  0.839  0.351  0.336
Si  0.332  0.046  0.085
O  0.756  0.830  0.757
O  0.109  0.020  0.304
O  0.609  0.020  0.304
O  0.015  0.809  0.689
Na  0.322  0.633  0.748
O  0.816  0.138  0.417
O  0.076  0.453  0.979
Ta  0.166  0.675  0.816
O  0.073  0.509  0.579
Ta  0.166  0.667  0.520
O  0.488  0.791  0.811
Na  0.826  0.000  0.250
O  0.847  0.540  0.523
O  0.076  0.650  0.360
O  0.148  0.846  0.978
O  0.578  0.460  0.977
O  0.234  0.324  0.749
O  0.929  0.362  0.637
Sc  0.493  0.994  0.353
Ta  0.837  0.336  0.686
Sc  0.998  0.989  0.648
Si  0.352  0.704  0.250
O  0.577  0.500  0.577
O  0.928  0.364  0.921
Si  0.310  0.957  0.415
O  0.014  0.216  0.189
Ta  0.665  0.654  0.313
O  0.254  0.368  0.419
O  0.928  0.503  0.139
O  0.079  0.685  0.476
O  0.748  0.135  0.640
O  0.260  0.836  0.474
Na  0.857  0.664  0.416
Si  0.520  0.376  0.919
O  0.655  0.484  0.754
O  0.314  0.511  0.643
Na  0.015  0.708  0.585
O  0.683  0.501  0.083

V	3244	Å³ per cell
space-group type	P1
mass density	3.585	g cm⁻³
E	-7.42	eV/atom

---

Density functional theory data (GGA-PBE) for an optimized crystal structure of BaCaHfZrO6.

a b c (Å): 5.917 5.917 5.917
angles (deg): 60.00 60.00 60.00
Element x y z (fractional)
O  0.752  0.248  0.752
Hf  0.000  0.000  0.000
O  0.248  0.248  0.752
O  0.248  0.752  0.248
O  0.752  0.248  0.248
O  0.248  0.752  0.752
O  0.752  0.752  0.248
Zr  0.500  0.500  0.500
Ba  0.750  0.750  0.750
Ca  0.250  0.250  0.250

V	146	Å³ per cell
space-group type	F-43m
mass density	6.156	g cm⁻³
E	-8.43	eV/atom

---

Density functional theory data (GGA-PBE) for an optimized crystal structure of PrAl8Fe4.

a b c (Å): 6.706 6.706 6.706
angles (deg): 98.11 98.11 135.87
Element x y z (fractional)
Al  0.000  0.343  0.343
Fe  0.500  0.500  0.500
Al  0.500  0.275  0.775
Fe  0.500  0.000  0.000
Pr  0.000  0.000  0.000
Al  0.657  0.000  0.657
Al  0.725  0.500  0.225
Al  0.343  0.000  0.343
Al  0.000  0.657  0.657
Fe  0.000  0.500  0.000
Al  0.275  0.500  0.775
Fe  0.000  0.000  0.500
Al  0.500  0.725  0.225

V	195	Å³ per cell
space-group type	I4/mmm
mass density	4.950	g cm⁻³
E	-5.68	eV/atom

---

Density functional theory data (GGA-PBE) for an optimized crystal structure of Li2Mg10B12Rh19.

a b c (Å): 2.879 13.933 26.685
angles (deg): 90.00 90.00 90.00
Element x y z (fractional)
B  0.000  0.616  0.857
Li  0.000  0.511  0.456
Rh  0.500  0.326  0.939
B  0.000  0.884  0.357
B  0.000  0.168  0.084
Rh  0.500  0.390  0.205
B  0.000  0.546  0.630
Rh  0.500  0.674  0.061
Rh  0.500  0.791  0.728
Rh  0.500  0.598  0.687
B  0.000  0.332  0.584
Li  0.000  0.489  0.544
B  0.000  0.557  0.056
Rh  0.500  0.623  0.583
Rh  0.500  0.171  0.021
B  0.000  0.323  0.263
Rh  0.500  0.427  0.624
Mg  0.000  0.963  0.772
Rh  0.500  0.500  0.000
B  0.000  0.291  0.461
Mg  0.000  0.215  0.186
Rh  0.500  0.976  0.397
Rh  0.500  0.610  0.795
Rh  0.500  0.573  0.376
Mg  0.000  0.346  0.033
B  0.000  0.677  0.737
Mg  0.000  0.741  0.641
Rh  0.500  0.877  0.083
Rh  0.500  0.110  0.705
B  0.000  0.832  0.916
Mg  0.000  0.285  0.686
Mg  0.000  0.846  0.467
Rh  0.500  0.722  0.889
Rh  0.500  0.209  0.272
Mg  0.000  0.785  0.814
Rh  0.500  0.377  0.417
B  0.000  0.057  0.444
Rh  0.500  0.098  0.813
Li  0.000  0.989  0.956
Rh  0.500  0.000  0.500
Rh  0.500  0.890  0.295
Mg  0.000  0.537  0.272
B  0.000  0.943  0.556
Mg  0.000  0.654  0.967
Li  0.000  0.011  0.044
B  0.000  0.443  0.944
Rh  0.500  0.073  0.124
Rh  0.500  0.476  0.103
B  0.000  0.209  0.961
Rh  0.500  0.402  0.313
Mg  0.000  0.068  0.329
Mg  0.000  0.432  0.829
Rh  0.500  0.291  0.772
B  0.000  0.668  0.416
B  0.000  0.177  0.763
Mg  0.000  0.932  0.671
Rh  0.500  0.778  0.389
Mg  0.000  0.568  0.171
Rh  0.500  0.123  0.917
Mg  0.000  0.259  0.359
B  0.000  0.791  0.039
Rh  0.500  0.329  0.521
Mg  0.000  0.037  0.228
Rh  0.500  0.826  0.561
Rh  0.500  0.902  0.187
Rh  0.500  0.024  0.603
Rh  0.500  0.222  0.611
Mg  0.000  0.759  0.141
Rh  0.500  0.524  0.897
B  0.000  0.384  0.143
Mg  0.000  0.241  0.859
Rh  0.500  0.278  0.111
Rh  0.500  0.927  0.876
B  0.000  0.046  0.870
Mg  0.000  0.154  0.533
Rh  0.500  0.709  0.228
B  0.000  0.954  0.130
B  0.000  0.454  0.370
Rh  0.500  0.671  0.479
Rh  0.500  0.174  0.439
Mg  0.000  0.463  0.728
Rh  0.500  0.829  0.979
B  0.000  0.823  0.237
Mg  0.000  0.715  0.314
B  0.000  0.116  0.643
B  0.000  0.709  0.539

V	1070	Å³ per cell
space-group type	Pbam
mass density	7.266	g cm⁻³
E	-6.10	eV/atom

---

Density functional theory data (GGA-PBE) for an optimized crystal structure of CrNiN2.

a b c (Å): 2.764 2.754 10.049
angles (deg): 90.00 90.00 120.12
Element x y z (fractional)
Ni  0.000  0.000  0.500
N  0.321  0.641  0.869
N  0.679  0.359  0.131
N  0.321  0.641  0.631
Ni  0.000  0.000  0.000
Cr  0.655  0.309  0.750
N  0.679  0.359  0.369
Cr  0.345  0.691  0.250

V	66	Å³ per cell
space-group type	Cmcm
mass density	6.963	g cm⁻³
E	-7.95	eV/atom

---

Density functional theory data (GGA-PBE) for an optimized crystal structure of CdPt.

a b c (Å): 3.009 3.009 3.898
angles (deg): 90.00 90.00 90.00
Element x y z (fractional)
Cd  0.000  0.000  0.000
Pt  0.500  0.500  0.500

V	35	Å³ per cell
space-group type	P4/mmm
mass density	14.474	g cm⁻³
E	-3.80	eV/atom

---

Density functional theory data (GGA-PBE) for an optimized crystal structure of YMg14Cr.

a b c (Å): 6.430 6.430 10.336
angles (deg): 90.00 90.00 120.00
Element x y z (fractional)
Mg  0.176  0.838  0.125
Mg  0.833  0.667  0.880
Mg  0.166  0.833  0.625
Mg  0.837  0.168  0.383
Mg  0.667  0.833  0.625
Cr  0.167  0.333  0.625
Mg  0.662  0.838  0.125
Mg  0.837  0.168  0.867
Mg  0.833  0.667  0.370
Mg  0.332  0.663  0.867
Mg  0.662  0.324  0.125
Mg  0.332  0.168  0.867
Mg  0.332  0.168  0.383
Mg  0.332  0.663  0.383
Mg  0.667  0.334  0.625
Y  0.167  0.333  0.125

V	370	Å³ per cell
space-group type	P-6m2
mass density	2.159	g cm⁻³
E	-2.33	eV/atom

---

Q: What is the formula in the sixth record?
A: CdPt

---

Q: Which formula does entry 7 have?
A: YMg14Cr

---

Q: Among the records above, which one has the lowest mass density?
A: YMg14Cr